Entry from the Materials Project database: a relaxed structure of Ge19P4Cl4 (PBE-GGA).

Geometry as extended XYZ:
```
54
Lattice="10.515 0.000 0.000 0.000 10.515 0.000 0.000 0.000 10.515" Properties=species:S:1:pos:R:3 pbc="T T T"
Ge 10.493 9.272 3.230
Ge 8.487 4.014 5.236
Ge 2.027 4.014 5.279
Ge 5.236 2.027 6.500
Ge 3.230 10.493 9.272
Ge 3.315 7.200 7.200
Ge 4.014 5.279 2.027
Ge 2.027 6.500 5.236
Ge 0.000 7.886 5.257
Ge 7.200 3.315 7.200
Ge 1.243 7.285 10.493
Ge 0.021 9.272 7.285
Ge 3.315 3.315 3.315
Ge 8.487 6.500 5.279
Ge 3.230 0.021 1.243
Ge 1.243 3.230 0.021
Ge 5.257 0.000 7.886
Ge 2.629 5.257 0.000
Ge 6.500 5.279 8.487
Ge 5.236 8.487 4.014
Ge 5.257 0.000 2.629
Ge 1.942 8.572 1.942
Ge 8.572 8.572 8.572
Ge 5.279 8.487 6.500
Ge 7.886 5.257 0.000
Ge 7.285 0.021 9.272
Ge 0.021 1.243 3.230
Ge 9.272 3.230 10.493
Ge 9.272 7.285 0.021
Ge 5.279 2.027 4.014
Ge 4.014 5.236 8.487
Ge 8.572 1.942 1.942
Ge 10.493 1.243 7.285
Ge 7.200 7.200 3.315
Ge 1.942 1.942 8.572
Ge 6.500 5.236 2.027
Ge 7.285 10.493 1.243
Ge 0.000 2.629 5.257
P 7.197 7.197 7.197
P 3.318 7.197 3.318
P 1.939 1.939 1.939
P 1.939 8.575 8.575
P 8.575 8.575 1.939
P 7.197 3.318 3.318
P 8.575 1.939 8.575
P 3.318 3.318 7.197
Cl 0.000 5.257 2.629
Cl 5.257 5.257 5.257
Cl 5.257 2.629 0.000
Cl 0.000 0.000 0.000
Cl 5.257 7.886 0.000
Cl 2.629 0.000 5.257
Cl 7.886 0.000 5.257
Cl 0.000 5.257 7.886
```

## Properties
Energy of formation from the pure elements = -292 meV per atom
Symmetry = No. 218
Magnetization = 0.000 μB/f.u.